Na3LiMn5O9 | PBE with a Hubbard U | relaxed

Cell and atoms, written as POSCAR:
```
Na3LiMn5O9
1.0
-1.2464 0.0688 -5.1932
-2.5886 -3.3843 3.2376
-3.8640 6.5483 3.7457
Mn Na O Li
5 3 9 1
Cartesian
-5.8230 2.2310 5.0486
-5.3867 3.3680 2.2798
-2.6304 -1.4706 2.3856
-2.1781 -0.3015 -0.4615
-4.9630 4.5396 -0.5465
-2.6131 2.6429 0.7352
-4.7886 0.4186 1.1265
-4.2877 1.6032 -1.6908
-2.4399 0.2459 1.4200
-5.0284 2.6756 0.4868
-4.0404 -0.5765 -0.8643
-5.8795 4.0316 4.1262
-3.9461 6.4465 3.5188
-3.3060 3.8436 2.6452
-1.9036 1.6458 -1.2639
-5.4865 1.6045 3.1961
-5.7000 5.2153 1.4933
-1.7485 0.9900 -3.2056
```

Computed properties:
Largest piezoelectric modulus, C/m2: 0.6
Formation enthalpy at 0 K, eV/atom: -2.00

***

Li9Co7O16 | PBE with a Hubbard U | relaxed

Cell and atoms, written as POSCAR:
```
Li9Co7O16
1.0
5.8072 5.0860 0.0000
-5.8072 5.0860 0.0000
0.0000 3.3290 4.8089
O Co Li
16 7 9
Cartesian
0.0000 3.2418 1.1152
-1.5952 5.9035 1.0865
1.5952 7.5976 3.7224
2.9301 3.4642 1.0519
-4.2984 5.8768 1.0633
-2.9301 3.4642 1.0519
0.0000 10.2593 3.6937
0.0000 5.0450 3.6356
-4.2984 7.6243 3.7456
-1.5952 7.5976 3.7224
4.2984 7.6243 3.7456
1.5952 5.9035 1.0865
-2.9301 10.0370 3.7570
0.0000 8.4561 1.1734
2.9301 10.0370 3.7570
4.2984 5.8768 1.0633
1.4331 5.9101 4.7880
-2.8827 5.0860 0.0000
1.4331 7.5910 0.0209
0.0000 0.0000 0.0000
-1.4331 7.5910 0.0209
2.8827 5.0860 0.0000
-1.4331 5.9101 4.7880
0.0000 6.7506 2.4045
-2.9208 6.7506 2.4045
-1.4347 4.2277 2.3764
-1.4347 9.2734 2.4326
0.0000 5.0860 0.0000
1.4347 4.2277 2.3764
2.9208 6.7506 2.4045
1.4347 9.2734 2.4326
0.0000 1.6645 2.4045
```

Computed properties:
Formation enthalpy at 0 K, eV/atom: -1.71

***

Li4Co3O7 | PBE with a Hubbard U | relaxed

Cell and atoms, written as POSCAR:
```
Li4Co3O7
1.0
-6.1574 0.1702 -2.1460
-0.8527 -5.0187 -4.1104
-3.3126 -4.7052 3.1511
Li O Co
8 14 6
Cartesian
-1.5381 -2.0819 0.1609
-4.1867 -5.5549 -2.2907
-6.1361 -3.9988 -0.8146
-2.0827 -4.8619 -0.4796
-8.7847 -7.4717 -3.2662
-4.5180 -6.1368 0.4698
-3.0787 0.0851 -1.0730
-5.8048 -3.4168 -3.5751
-8.5376 -6.3968 -1.4225
-1.7852 -3.1569 -1.6828
-4.0651 -4.2369 -0.6880
-6.7347 -7.8441 -3.0051
-3.7409 -3.6692 -3.4349
-4.8338 -7.2582 -1.2843
-6.5819 -5.8844 0.3296
-6.2578 -5.3167 -2.4173
-8.1921 -3.5948 -0.8554
-4.3391 -4.9809 2.2528
-5.4891 -2.2955 -1.8210
-3.5881 -1.7095 -0.1002
-5.9837 -4.5727 -5.3581
-2.1307 -5.9589 -2.2499
-6.6815 -6.8100 -1.3838
-8.5388 -5.2879 0.1851
-3.6413 -2.7436 -1.7215
-3.8863 -3.3450 1.0892
-6.4365 -6.2086 -4.1945
-1.7840 -4.2657 -3.2904
```

Computed properties:
Formation enthalpy at 0 K, eV/atom: -1.69

***

CrWO4 | PBE with a Hubbard U | relaxed

Cell and atoms, written as POSCAR:
```
CrWO4
1.0
-2.5145 -3.5318 1.7908
3.4002 -3.7811 -2.3855
4.2653 -1.4973 3.3338
W O Cr
2 8 2
Cartesian
4.0493 -2.0676 1.9056
1.1019 -6.7424 0.8340
0.2487 -1.2481 0.3416
3.0357 -6.4309 0.4160
4.8721 -7.6426 2.1958
1.0800 -4.9246 1.9209
4.1010 -3.8062 1.0173
1.6822 -3.5229 -0.5406
2.1471 -2.3055 2.2894
3.4373 -5.3608 3.3143
4.4904 -5.7235 1.6069
0.6608 -3.0865 1.1331
```

Computed properties:
Formation enthalpy at 0 K, eV/atom: -2.22